i.
## Li4MnO2F3 (PBE with a Hubbard U)

Data for an optimized crystal structure of Li4MnO2F3.

Geometry as extended XYZ:
```
40
Lattice="3.788 -1.090 -0.091 1.843 -1.115 4.657 -5.460 -18.875 -1.310" Properties=species:S:1:pos:R:3 pbc="T T T"
F 2.915 -4.403 3.458
F -3.081 -18.009 2.524
F 3.226 -3.091 0.802
F -0.641 -16.626 1.877
F 0.497 -12.529 0.147
F 1.558 -1.922 2.902
F -0.034 -7.266 0.520
F 0.186 -13.841 2.802
F -0.350 -8.573 3.179
F -1.172 -11.361 2.247
F 2.090 -7.188 2.532
F -2.765 -16.703 -0.134
Li 0.990 -3.937 3.353
Li -2.478 -15.862 1.739
Li -0.026 -14.394 0.803
Li 1.834 -7.889 0.378
Li -1.211 -18.637 2.325
Li 0.782 -11.688 2.020
Li 2.703 -4.956 1.458
Li -0.896 -17.326 -0.276
Li 0.252 -6.424 2.394
Li -0.555 -9.130 1.175
Li 1.520 -9.200 2.979
Li 3.511 -2.251 2.676
Li -3.286 -18.567 0.521
Li -1.740 -13.374 2.698
Li 1.305 -2.625 0.753
Li -1.424 -12.063 0.097
Mn -1.676 -19.953 -1.265
Mn -2.205 -14.689 -0.892
Mn 1.055 -10.515 -0.611
Mn 0.526 -5.251 -0.237
O -1.970 -14.021 0.811
O 1.522 -16.378 3.568
O 3.719 -1.678 4.597
O 0.760 -4.583 1.466
O 0.993 -11.112 3.940
O 4.254 -6.941 4.222
O -1.442 -19.281 0.436
O 1.289 -9.844 1.091
```

Summary:
Its maximum piezoelectric response is 0.775 C/m². The value obtained for the size of the total moment is 0.0 μB/cell.


ii.
## Li4MnO2F3 (PBE with a Hubbard U)

Data for an optimized crystal structure of Li4MnO2F3.

Geometry as extended XYZ:
```
40
Lattice="5.290 4.281 0.790 2.619 0.767 7.184 5.111 -5.841 -0.645" Properties=species:S:1:pos:R:3 pbc="T T T"
Mn 5.221 -0.647 1.489
Mn 7.799 -0.145 5.840
Mn 10.421 -1.428 1.561
Mn 2.599 0.635 5.767
Li 6.646 1.933 2.730
Li 10.420 -0.403 7.292
Li 9.158 2.272 6.995
Li 7.649 -0.691 3.024
Li 9.066 -3.317 3.341
Li 3.862 -3.065 0.333
Li 6.557 -3.128 2.012
Li 5.371 -0.102 4.304
Li 2.600 -0.390 0.036
Li 9.069 -2.789 6.277
Li 6.463 2.335 5.316
Li 3.865 -2.537 3.269
Li 3.951 1.996 1.051
Li 6.374 -2.727 4.598
Li 2.448 0.089 2.952
Li 10.572 -0.883 4.376
O 5.774 -1.966 0.202
O 5.852 3.474 3.722
O 7.168 -4.267 3.606
O 7.246 1.173 7.127
O 5.863 3.095 0.919
O 7.257 0.794 4.323
O 7.157 -3.889 6.409
O 5.763 -1.587 3.005
F 10.973 -1.987 6.042
F 3.216 -0.912 4.587
F 2.047 1.194 1.286
F 7.248 0.414 1.358
F 9.804 0.119 2.741
F 8.371 -2.266 1.733
F 5.772 -1.207 5.970
F 8.417 -1.693 4.659
F 3.170 -1.486 1.661
F 9.850 0.693 5.668
F 4.603 0.899 2.669
F 4.649 1.473 5.596
```

Summary:
The value obtained for the size of the total moment is 0.0 μB/cell.


Question: which arrangement is favored energetically? Ranking from most to least stable: ii, i.


i.
## Li2MnPO4F (PBE with a Hubbard U)

Data for an optimized crystal structure of Li2MnPO4F.

Geometry as extended XYZ:
```
72
Lattice="-4.007 2.052 -2.482 0.926 -9.358 -9.230 -6.683 -11.270 1.474" Properties=species:S:1:pos:R:3 pbc="T T T"
Li -4.394 -11.574 -5.340
Li -7.115 -7.421 -2.457
Li -1.151 -3.508 -3.447
Li -5.801 -16.830 -6.876
Li -8.614 -15.067 -6.791
Li -2.651 -11.154 -7.781
Li -4.704 -6.974 -0.629
Li -2.980 -6.544 -3.084
Li -5.062 -11.601 -9.609
Li -0.882 -8.088 -8.182
Li -3.251 -6.553 -7.822
Li -5.371 -7.001 -4.899
Li -6.785 -12.031 -7.155
Li -8.884 -10.487 -2.056
Li -3.964 -1.746 -3.362
Li -6.514 -12.023 -2.416
O -5.352 -7.410 -7.169
O -4.413 -11.165 -3.069
O -2.023 -7.718 -6.446
O -6.049 -15.784 -5.064
O -7.450 -13.697 -5.552
O -3.354 -9.857 -6.187
O -2.315 -4.879 -4.687
O -7.783 -15.278 -8.719
O -0.551 -10.224 -8.495
O -3.460 -8.051 -4.403
O -6.412 -8.718 -4.051
O -4.869 -5.014 -4.838
O -6.544 -13.092 -9.035
O -2.491 -12.989 -8.705
O -6.382 -18.329 -8.290
O -3.221 -5.483 -1.203
O -3.979 -9.912 -9.188
O -9.214 -8.351 -1.743
O -6.258 -13.951 -3.312
O -5.786 -8.663 -1.050
O -3.717 -2.791 -5.175
O -1.982 -3.297 -1.519
O -2.590 -7.810 -9.379
O -7.175 -10.765 -0.859
O -6.305 -10.525 -5.835
O -7.743 -10.857 -3.792
O -4.537 -3.386 -1.762
O -4.896 -13.561 -5.400
O -3.383 -0.246 -1.948
O -7.274 -5.587 -1.533
O -5.228 -15.190 -8.476
O -3.507 -4.625 -6.926
F -7.983 -16.938 -6.584
F -7.125 -6.173 -4.133
F -10.339 -11.289 -3.142
F -5.020 -6.742 -2.678
F -4.746 -11.834 -7.560
F 0.574 -7.286 -7.096
F -1.783 -1.637 -3.654
F -2.640 -12.402 -6.106
Mn -8.879 -12.620 -4.304
Mn -8.251 -17.384 -8.816
Mn -0.886 -5.955 -5.935
Mn -4.663 -9.046 -2.870
Mn -5.102 -9.530 -7.368
Mn -5.759 -4.751 -2.874
Mn -1.514 -1.191 -1.422
Mn -4.006 -13.824 -7.364
P -3.289 -3.947 -0.988
P -3.399 -8.873 -10.177
P -6.476 -14.628 -9.250
P -6.367 -9.702 -0.062
P -3.604 -4.326 -5.402
P -6.162 -14.249 -4.836
P -2.545 -8.770 -5.429
P -7.220 -9.806 -4.809
```

Summary:
The value obtained for the size of the total moment is 40.0 μB/cell.


ii.
## Li2MnPO4F (PBE with a Hubbard U)

Data for an optimized crystal structure of Li2MnPO4F.

Geometry as extended XYZ:
```
36
Lattice="-1.461 7.175 -1.089 6.333 -2.843 -3.288 -4.243 -2.084 -6.446" Properties=species:S:1:pos:R:3 pbc="T T T"
Li 1.699 -0.148 -3.540
Li -2.941 0.577 -6.285
Li -0.991 3.620 -5.797
Li 3.826 1.389 -4.577
Li -1.840 5.491 -3.549
Li 2.368 -3.317 -7.144
Li -3.596 2.916 -6.797
Li -1.286 1.224 -8.728
O 3.171 3.369 -5.331
O 0.778 3.134 -6.236
O -2.614 -1.084 -5.383
O -1.182 3.503 -2.795
O 0.705 1.861 -3.420
O 0.850 0.341 -9.828
O -0.067 0.354 -7.463
O 3.685 0.547 -2.613
O 3.680 -2.253 -6.035
O 1.846 -1.265 -8.124
O 2.814 -2.088 -3.624
O -0.177 -0.813 -4.553
O -0.190 1.949 -1.010
O -3.072 1.737 -8.275
O -3.001 4.462 -4.783
O -2.302 4.384 -7.150
F -1.775 1.915 -5.537
F 2.343 0.449 -5.282
F -0.504 2.884 -9.108
F 1.133 -0.759 -1.748
P 0.537 -0.550 -8.559
P 0.100 2.739 -2.314
P 1.899 4.157 -5.817
P -1.309 -1.797 -4.935
Mn 3.437 -0.369 -6.936
Mn -0.984 -3.414 -8.145
Mn -0.016 0.072 -0.104
Mn 0.316 1.135 -5.497
```

Summary:
The value obtained for the size of the total moment is 20.0 μB/cell.


Question: which arrangement is favored energetically? Ranking from most to least stable: i, ii.